# 1
VASP calculation (GGA-PBE) on a geometry-optimized KNbN2 structure.

Summary:
E = -7.73 eV/atom
symmetry = Pbca, No. 61
crystal system = orthorhombic
V = 18.78 A^3/atom

Lattice parameters (Å, degrees): 5.9747 11.9534 16.8253 90.00 90.00 90.00
Fractional coordinates of all 64 atoms:
K 0.2235 0.2373 0.1844
K 0.2235 0.2627 0.6844
K 0.2364 0.0012 0.5595
K 0.2364 0.4988 0.0595
K 0.2636 0.5012 0.5595
K 0.2636 0.9988 0.0595
K 0.2765 0.7373 0.1844
K 0.2765 0.7627 0.6844
K 0.7235 0.2373 0.3156
K 0.7235 0.2627 0.8156
K 0.7364 0.0012 0.9405
K 0.7364 0.4988 0.4405
K 0.7636 0.5012 0.9405
K 0.7636 0.9988 0.4405
K 0.7765 0.7373 0.3156
K 0.7765 0.7627 0.8156
Nb 0.2329 0.0110 0.8103
Nb 0.2329 0.4890 0.3103
Nb 0.2388 0.2342 0.4351
Nb 0.2388 0.2658 0.9351
Nb 0.2612 0.7342 0.4351
Nb 0.2612 0.7658 0.9351
Nb 0.2671 0.5110 0.8103
Nb 0.2671 0.9890 0.3103
Nb 0.7329 0.0110 0.6897
Nb 0.7329 0.4890 0.1897
Nb 0.7388 0.2342 0.0649
Nb 0.7388 0.2658 0.5649
Nb 0.7612 0.7342 0.0649
Nb 0.7612 0.7658 0.5649
Nb 0.7671 0.5110 0.6897
Nb 0.7671 0.9890 0.1897
N 0.0393 0.7016 0.0076
N 0.0393 0.7984 0.5076
N 0.0485 0.5161 0.2163
N 0.0485 0.9839 0.7163
N 0.1440 0.5923 0.3953
N 0.1440 0.9077 0.8953
N 0.1846 0.1655 0.8449
N 0.1846 0.3345 0.3449
N 0.3154 0.6655 0.8449
N 0.3154 0.8345 0.3449
N 0.3560 0.0923 0.3953
N 0.3560 0.4077 0.8953
N 0.4515 0.0161 0.2163
N 0.4515 0.4839 0.7163
N 0.4607 0.2016 0.0076
N 0.4607 0.2984 0.5076
N 0.5393 0.7016 0.4924
N 0.5393 0.7984 0.9924
N 0.5485 0.5161 0.2837
N 0.5485 0.9839 0.7837
N 0.6440 0.5923 0.1047
N 0.6440 0.9077 0.6047
N 0.6846 0.1655 0.6551
N 0.6846 0.3345 0.1551
N 0.8154 0.6655 0.6551
N 0.8154 0.8345 0.1551
N 0.8560 0.0923 0.1047
N 0.8560 0.4077 0.6047
N 0.9515 0.0161 0.2837
N 0.9515 0.4839 0.7837
N 0.9607 0.2016 0.4924
N 0.9607 0.2984 0.9924



# 2
VASP calculation (GGA-PBE) on a geometry-optimized BaNa4Ti2Si12O30 structure.

Summary:
E = -7.52 eV/atom
symmetry = C2/m, No. 12
crystal system = monoclinic
V = 13.39 A^3/atom

Lattice parameters (Å, degrees): 10.1052 10.1052 7.3851 91.90 91.90 119.35
Fractional coordinates of all 49 atoms:
Ba 0.0000 0.0000 0.0000
Na 0.2672 0.7328 0.5000
Na 0.2756 0.2756 0.4842
Na 0.7244 0.7244 0.5158
Na 0.7328 0.2672 0.5000
Ti 0.0836 0.9164 0.5000
Ti 0.9164 0.0836 0.5000
Si 0.0636 0.3722 0.1867
Si 0.0739 0.4143 0.7638
Si 0.3722 0.0636 0.1867
Si 0.4060 0.5802 0.2161
Si 0.4143 0.0739 0.7638
Si 0.4198 0.5940 0.7839
Si 0.5802 0.4060 0.2161
Si 0.5857 0.9261 0.2362
Si 0.5940 0.4198 0.7839
Si 0.6278 0.9364 0.8133
Si 0.9261 0.5857 0.2362
Si 0.9364 0.6278 0.8133
O 0.0344 0.2198 0.2765
O 0.0504 0.7102 0.3757
O 0.0622 0.5716 0.7868
O 0.0784 0.3509 0.9661
O 0.0905 0.0905 0.6279
O 0.2198 0.0344 0.2765
O 0.2317 0.5200 0.2696
O 0.2513 0.4811 0.6889
O 0.2898 0.9496 0.6243
O 0.3509 0.0784 0.9661
O 0.4174 0.5826 0.0000
O 0.4284 0.9378 0.2132
O 0.4629 0.4629 0.2928
O 0.4800 0.7683 0.7304
O 0.4811 0.2513 0.6889
O 0.5189 0.7487 0.3111
O 0.5200 0.2317 0.2696
O 0.5371 0.5371 0.7072
O 0.5716 0.0622 0.7868
O 0.5826 0.4174 0.0000
O 0.6491 0.9216 0.0339
O 0.7102 0.0504 0.3757
O 0.7487 0.5189 0.3111
O 0.7683 0.4800 0.7304
O 0.7802 0.9656 0.7235
O 0.9095 0.9095 0.3721
O 0.9216 0.6491 0.0339
O 0.9378 0.4284 0.2132
O 0.9496 0.2898 0.6243
O 0.9656 0.7802 0.7235



# 3
VASP calculation (GGA-PBE) on a geometry-optimized Ni3GeC structure.

Summary:
E = -6.15 eV/atom
symmetry = Pm-3m, No. 221
crystal system = cubic
V = 11.05 A^3/atom

Lattice parameters (Å, degrees): 3.8087 3.8087 3.8087 90.00 90.00 90.00
Fractional coordinates of all 5 atoms:
Ni 0.0000 0.0000 0.5000
Ni 0.0000 0.5000 0.0000
Ni 0.5000 0.0000 0.0000
Ge 0.5000 0.5000 0.5000
C 0.0000 0.0000 0.0000



# 4
VASP calculation (GGA-PBE) on a geometry-optimized ZrPb7N6 structure.

Summary:
E = -5.76 eV/atom
symmetry = Pbcn, No. 60
crystal system = orthorhombic
V = 22.21 A^3/atom

Lattice parameters (Å, degrees): 12.7262 7.3288 13.3383 90.00 90.00 90.00
Fractional coordinates of all 56 atoms:
Zr 0.0000 0.1652 0.2500
Zr 0.0000 0.8348 0.7500
Zr 0.5000 0.3348 0.7500
Zr 0.5000 0.6652 0.2500
Pb 0.0000 0.4126 0.7500
Pb 0.0000 0.5874 0.2500
Pb 0.0045 0.2325 0.5253
Pb 0.0045 0.7675 0.0253
Pb 0.2166 0.1892 0.1163
Pb 0.2166 0.8108 0.6163
Pb 0.2365 0.0222 0.8594
Pb 0.2365 0.9778 0.3594
Pb 0.2635 0.4778 0.3594
Pb 0.2635 0.5222 0.8594
Pb 0.2834 0.3108 0.6163
Pb 0.2834 0.6892 0.1163
Pb 0.4955 0.2675 0.0253
Pb 0.4955 0.7325 0.5253
Pb 0.5000 0.0874 0.2500
Pb 0.5000 0.9126 0.7500
Pb 0.5045 0.2675 0.4747
Pb 0.5045 0.7325 0.9747
Pb 0.7166 0.3108 0.8837
Pb 0.7166 0.6892 0.3837
Pb 0.7365 0.4778 0.1406
Pb 0.7365 0.5222 0.6406
Pb 0.7635 0.0222 0.6406
Pb 0.7635 0.9778 0.1406
Pb 0.7834 0.1892 0.3837
Pb 0.7834 0.8108 0.8837
Pb 0.9955 0.2325 0.9747
Pb 0.9955 0.7675 0.4747
N 0.0445 0.0452 0.1108
N 0.0445 0.9548 0.6108
N 0.1196 0.3556 0.2665
N 0.1196 0.6444 0.7665
N 0.1790 0.2863 0.9562
N 0.1790 0.7137 0.4562
N 0.3210 0.2137 0.4562
N 0.3210 0.7863 0.9562
N 0.3804 0.1444 0.7665
N 0.3804 0.8556 0.2665
N 0.4555 0.4548 0.6108
N 0.4555 0.5452 0.1108
N 0.5445 0.4548 0.8892
N 0.5445 0.5452 0.3892
N 0.6196 0.1444 0.7335
N 0.6196 0.8556 0.2335
N 0.6790 0.2137 0.0438
N 0.6790 0.7863 0.5438
N 0.8210 0.2863 0.5438
N 0.8210 0.7137 0.0438
N 0.8804 0.3556 0.2335
N 0.8804 0.6444 0.7335
N 0.9555 0.0452 0.3892
N 0.9555 0.9548 0.8892



# 5
VASP calculation (GGA-PBE) on a geometry-optimized Mo2C structure.

Summary:
E = -10.35 eV/atom
symmetry = P-3m1, No. 164
crystal system = trigonal
V = 12.68 A^3/atom

Lattice parameters (Å, degrees): 3.0731 3.0731 4.6525 90.00 90.00 120.00
Fractional coordinates of all 3 atoms:
Mo 0.3333 0.6667 0.2499
Mo 0.6667 0.3333 0.7501
C 0.0000 0.0000 0.5000



# 6
VASP calculation (GGA-PBE) on a geometry-optimized KSmTe2 structure.

Summary:
E = -4.44 eV/atom
symmetry = R-3m, No. 166
crystal system = trigonal
V = 37.46 A^3/atom

Lattice parameters (Å, degrees): 8.6758 8.6758 8.6758 30.58 30.58 30.58
Fractional coordinates of all 4 atoms:
K 0.0000 0.0000 0.0000
Sm 0.5000 0.5000 0.5000
Te 0.2374 0.2374 0.2374
Te 0.7626 0.7626 0.7626



# 7
VASP calculation (GGA-PBE) on a geometry-optimized AgH8C7S2O2F7 structure.

Summary:
E = -5.39 eV/atom
symmetry = Pca2_1, No. 29
crystal system = orthorhombic
V = 12.45 A^3/atom

Lattice parameters (Å, degrees): 10.8858 13.5759 9.1018 90.00 90.00 90.00
Fractional coordinates of all 108 atoms:
Ag 0.2281 0.0372 0.0000
Ag 0.2719 0.0372 0.5000
Ag 0.7281 0.9628 0.0000
Ag 0.7719 0.9628 0.5000
H 0.0062 0.0101 0.7421
H 0.0068 0.8845 0.8052
H 0.0494 0.7272 0.5936
H 0.0807 0.2613 0.9743
H 0.0979 0.2398 0.1689
H 0.1429 0.8193 0.2278
H 0.2083 0.7796 0.6695
H 0.2420 0.7907 0.8620
H 0.2580 0.7907 0.3620
H 0.2917 0.7796 0.1695
H 0.3571 0.8193 0.7278
H 0.4021 0.2398 0.6689
H 0.4193 0.2613 0.4743
H 0.4506 0.7272 0.0936
H 0.4932 0.8845 0.3052
H 0.4938 0.0101 0.2421
H 0.5062 0.9899 0.7421
H 0.5068 0.1155 0.8052
H 0.5494 0.2728 0.5936
H 0.5807 0.7387 0.9743
H 0.5979 0.7602 0.1689
H 0.6429 0.1807 0.2278
H 0.7083 0.2204 0.6695
H 0.7420 0.2093 0.8620
H 0.7580 0.2093 0.3620
H 0.7917 0.2204 0.1695
H 0.8571 0.1807 0.7278
H 0.9021 0.7602 0.6689
H 0.9193 0.7387 0.4743
H 0.9506 0.2728 0.0936
H 0.9932 0.1155 0.3052
H 0.9938 0.9899 0.2421
C 0.0366 0.2332 0.0740
C 0.0379 0.3126 0.5752
C 0.0426 0.9359 0.7225
C 0.0919 0.5022 0.5427
C 0.0971 0.2072 0.5932
C 0.1298 0.3923 0.5187
C 0.2415 0.8216 0.2526
C 0.2585 0.8216 0.7526
C 0.3702 0.3923 0.0187
C 0.4029 0.2072 0.0932
C 0.4081 0.5022 0.0427
C 0.4574 0.9359 0.2225
C 0.4621 0.3126 0.0752
C 0.4634 0.2332 0.5740
C 0.5366 0.7668 0.0740
C 0.5379 0.6874 0.5752
C 0.5426 0.0641 0.7225
C 0.5919 0.4978 0.5427
C 0.5971 0.7928 0.5932
C 0.6298 0.6077 0.5187
C 0.7415 0.1784 0.2526
C 0.7585 0.1784 0.7526
C 0.8702 0.6077 0.0187
C 0.9029 0.7928 0.0932
C 0.9081 0.4978 0.0427
C 0.9574 0.0641 0.2225
C 0.9621 0.6874 0.0752
C 0.9634 0.7668 0.5740
S 0.0051 0.1040 0.0410
S 0.2087 0.9494 0.7450
S 0.2913 0.9494 0.2450
S 0.4949 0.1040 0.5410
S 0.5051 0.8960 0.0410
S 0.7087 0.0506 0.7450
S 0.7913 0.0506 0.2450
S 0.9949 0.8960 0.5410
O 0.0945 0.1703 0.7182
O 0.1390 0.1727 0.4734
O 0.3610 0.1727 0.9734
O 0.4055 0.1703 0.2182
O 0.5945 0.8297 0.7182
O 0.6390 0.8273 0.4734
O 0.8610 0.8273 0.9734
O 0.9055 0.8297 0.2182
F 0.0105 0.6549 0.2062
F 0.0241 0.4818 0.9945
F 0.0590 0.6925 0.9765
F 0.0992 0.5288 0.6858
F 0.1478 0.3797 0.3715
F 0.1693 0.5616 0.4658
F 0.2401 0.3792 0.5891
F 0.2599 0.3792 0.0891
F 0.3307 0.5616 0.9658
F 0.3522 0.3797 0.8715
F 0.4008 0.5288 0.1858
F 0.4410 0.6925 0.4765
F 0.4759 0.4818 0.4945
F 0.4895 0.6549 0.7062
F 0.5105 0.3451 0.2062
F 0.5241 0.5182 0.9945
F 0.5590 0.3075 0.9765
F 0.5992 0.4712 0.6858
F 0.6478 0.6203 0.3715
F 0.6693 0.4384 0.4658
F 0.7401 0.6208 0.5891
F 0.7599 0.6208 0.0891
F 0.8307 0.4384 0.9658
F 0.8522 0.6203 0.8715
F 0.9008 0.4712 0.1858
F 0.9410 0.3075 0.4765
F 0.9759 0.5182 0.4945
F 0.9895 0.3451 0.7062



# 8
VASP calculation (GGA-PBE) on a geometry-optimized NdPd3 structure.

Summary:
E = -5.87 eV/atom
symmetry = Pm-3m, No. 221
crystal system = cubic
V = 18.57 A^3/atom

Lattice parameters (Å, degrees): 4.2039 4.2039 4.2039 90.00 90.00 90.00
Fractional coordinates of all 4 atoms:
Nd 0.0000 0.0000 0.0000
Pd 0.0000 0.5000 0.5000
Pd 0.5000 0.0000 0.5000
Pd 0.5000 0.5000 0.0000



# 9
VASP calculation (GGA-PBE) on a geometry-optimized Hf5Zr5Ga6 structure.

Summary:
E = -7.40 eV/atom
symmetry = Amm2, No. 38
crystal system = orthorhombic
V = 20.20 A^3/atom

Lattice parameters (Å, degrees): 5.7328 8.0587 8.0587 119.76 90.00 90.00
Fractional coordinates of all 16 atoms:
Hf 0.0000 0.0000 0.0000
Hf 0.2499 0.0871 0.4206
Hf 0.2499 0.4206 0.0871
Hf 0.7501 0.0871 0.4206
Hf 0.7501 0.4206 0.0871
Zr 0.0000 0.5114 0.7536
Zr 0.0000 0.7536 0.5114
Zr 0.5000 0.5087 0.5087
Zr 0.5000 0.7549 0.9969
Zr 0.5000 0.9969 0.7549
Ga 0.0000 0.1460 0.7550
Ga 0.0000 0.3606 0.3606
Ga 0.0000 0.7550 0.1460
Ga 0.5000 0.1467 0.1467
Ga 0.5000 0.3616 0.7538
Ga 0.5000 0.7538 0.3615



# 10
VASP calculation (GGA-PBE) on a geometry-optimized HoGa4Ni structure.

Summary:
E = -4.28 eV/atom
symmetry = Cmcm, No. 63
crystal system = orthorhombic
V = 17.17 A^3/atom

Lattice parameters (Å, degrees): 7.8875 7.8875 6.6174 90.00 90.00 149.97
Fractional coordinates of all 12 atoms:
Ho 0.1199 0.8801 0.7500
Ho 0.8801 0.1199 0.2500
Ga 0.0702 0.9298 0.2500
Ga 0.3148 0.6852 0.5512
Ga 0.3148 0.6852 0.9488
Ga 0.5000 0.5000 0.0000
Ga 0.5000 0.5000 0.5000
Ga 0.6852 0.3148 0.0512
Ga 0.6852 0.3148 0.4488
Ga 0.9298 0.0702 0.7500
Ni 0.2246 0.7754 0.2500
Ni 0.7754 0.2246 0.7500



# 11
VASP calculation (GGA-PBE) on a geometry-optimized Sb2S3 structure.

Summary:
E = -4.38 eV/atom
symmetry = Pmn2_1, No. 31
crystal system = orthorhombic
V = 26.53 A^3/atom

Lattice parameters (Å, degrees): 3.8774 12.2011 11.2143 90.00 90.00 90.00
Fractional coordinates of all 20 atoms:
Sb 0.0000 0.1044 0.0000
Sb 0.0000 0.2807 0.3643
Sb 0.0000 0.6149 0.5660
Sb 0.0000 0.7852 0.2080
Sb 0.5000 0.2148 0.7080
Sb 0.5000 0.3851 0.0660
Sb 0.5000 0.7193 0.8643
Sb 0.5000 0.8956 0.5000
S 0.0000 0.1279 0.5895
S 0.0000 0.2896 0.9063
S 0.0000 0.4433 0.2190
S 0.0000 0.6260 0.9745
S 0.0000 0.8007 0.6566
S 0.0000 0.9525 0.3435
S 0.5000 0.0475 0.8435
S 0.5000 0.1993 0.1566
S 0.5000 0.3740 0.4745
S 0.5000 0.5567 0.7190
S 0.5000 0.7104 0.4063
S 0.5000 0.8721 0.0895



Q: What is the formula in the seventh record?
A: AgH8C7S2O2F7